1.
UP4O12 after structural relaxation, computed with PBE-GGA. Values from VASP.

## Properties
The calculation puts the energy above the lowest structure with this stoichiometry at 14 meV per atom. The calculated formation energy comes out at -2.823 eV per atom. The final energy is -7.77 eV per atom.

Cell and atoms, written as Quantum ESPRESSO input:
```
&SYSTEM
  ibrav = 0, nat = 34, ntyp = 3
/
ATOMIC_SPECIES
U 238.03 U.upf
P 30.97 P.upf
O 16.00 O.upf
CELL_PARAMETERS angstrom
8.332 0.000 0.000
-0.044 8.335 0.000
-3.876 -4.015 6.528
ATOMIC_POSITIONS crystal
U 0.219 0.212 0.424
U 0.781 0.788 0.576
P 0.023 0.477 0.760
P 0.265 0.028 0.768
P 0.266 0.729 0.206
P 0.487 0.722 0.780
P 0.513 0.278 0.220
P 0.734 0.271 0.794
P 0.735 0.972 0.232
P 0.977 0.523 0.240
O 0.054 0.339 0.594
O 0.055 0.366 0.258
O 0.095 0.987 0.779
O 0.099 0.649 0.216
O 0.218 0.570 0.977
O 0.245 0.063 0.605
O 0.246 0.915 0.220
O 0.351 0.536 0.664
O 0.363 0.266 0.269
O 0.373 0.870 0.758
O 0.421 0.211 0.982
O 0.451 0.727 0.354
O 0.549 0.273 0.646
O 0.579 0.789 0.018
O 0.627 0.130 0.242
O 0.637 0.734 0.731
O 0.649 0.464 0.336
O 0.754 0.085 0.780
O 0.755 0.937 0.395
O 0.782 0.430 0.023
O 0.901 0.351 0.784
O 0.905 0.013 0.221
O 0.945 0.634 0.742
O 0.946 0.661 0.406
```



2.
UP4O12 after structural relaxation, computed with PBE-GGA. Values from VASP.

## Properties
The calculation puts the energy above the lowest structure with this stoichiometry at 0 meV per atom. The calculated formation energy comes out at -2.837 eV per atom. The final energy is -7.78 eV per atom.

Cell and atoms, written as Quantum ESPRESSO input:
```
&SYSTEM
  ibrav = 0, nat = 136, ntyp = 3
/
ATOMIC_SPECIES
U 238.03 U.upf
P 30.97 P.upf
O 16.00 O.upf
CELL_PARAMETERS angstrom
6.999 -15.122 0.000
6.999 15.122 0.000
-0.015 0.000 9.117
ATOMIC_POSITIONS crystal
U 0.068 0.932 0.750
U 0.078 0.439 0.751
U 0.430 0.570 0.250
U 0.439 0.078 0.251
U 0.561 0.922 0.749
U 0.570 0.430 0.750
U 0.922 0.561 0.249
U 0.932 0.068 0.250
P 0.015 0.329 0.366
P 0.017 0.827 0.137
P 0.134 0.157 0.979
P 0.135 0.653 0.513
P 0.152 0.635 0.027
P 0.157 0.134 0.479
P 0.169 0.484 0.140
P 0.173 0.983 0.363
P 0.329 0.015 0.866
P 0.333 0.514 0.636
P 0.347 0.865 0.987
P 0.351 0.364 0.519
P 0.364 0.351 0.019
P 0.365 0.848 0.473
P 0.484 0.169 0.640
P 0.486 0.667 0.864
P 0.514 0.333 0.136
P 0.516 0.831 0.360
P 0.635 0.152 0.527
P 0.636 0.649 0.981
P 0.649 0.636 0.481
P 0.653 0.135 0.013
P 0.667 0.486 0.364
P 0.671 0.985 0.134
P 0.827 0.017 0.637
P 0.831 0.516 0.860
P 0.843 0.866 0.521
P 0.848 0.365 0.973
P 0.865 0.347 0.487
P 0.866 0.843 0.021
P 0.983 0.173 0.863
P 0.985 0.671 0.634
O 0.002 0.737 0.210
O 0.002 0.764 0.702
O 0.053 0.608 0.084
O 0.055 0.102 0.418
O 0.061 0.601 0.384
O 0.067 0.419 0.243
O 0.068 0.864 0.990
O 0.074 0.371 0.508
O 0.075 0.925 0.250
O 0.097 0.204 0.868
O 0.098 0.700 0.622
O 0.101 0.155 0.132
O 0.102 0.055 0.918
O 0.136 0.932 0.510
O 0.140 0.436 0.990
O 0.150 0.599 0.875
O 0.155 0.101 0.632
O 0.155 0.589 0.594
O 0.196 0.596 0.139
O 0.204 0.097 0.368
O 0.236 0.998 0.798
O 0.241 0.495 0.710
O 0.241 0.759 0.048
O 0.241 0.759 0.452
O 0.243 0.258 0.457
O 0.258 0.243 0.957
O 0.259 0.503 0.220
O 0.263 0.998 0.290
O 0.300 0.902 0.878
O 0.305 0.402 0.627
O 0.341 0.411 0.104
O 0.369 0.569 0.491
O 0.371 0.074 0.008
O 0.392 0.947 0.416
O 0.399 0.939 0.116
O 0.401 0.850 0.625
O 0.402 0.305 0.127
O 0.404 0.804 0.361
O 0.406 0.439 0.392
O 0.411 0.341 0.604
O 0.411 0.845 0.906
O 0.419 0.067 0.743
O 0.428 0.572 0.750
O 0.431 0.631 0.009
O 0.436 0.140 0.490
O 0.439 0.406 0.892
O 0.495 0.241 0.210
O 0.497 0.741 0.280
O 0.503 0.259 0.720
O 0.505 0.759 0.790
O 0.561 0.594 0.108
O 0.564 0.860 0.510
O 0.569 0.369 0.991
O 0.572 0.428 0.250
O 0.581 0.933 0.257
O 0.589 0.155 0.094
O 0.589 0.659 0.396
O 0.594 0.561 0.608
O 0.596 0.196 0.639
O 0.598 0.695 0.873
O 0.599 0.150 0.375
O 0.601 0.061 0.884
O 0.608 0.053 0.584
O 0.629 0.926 0.992
O 0.631 0.431 0.509
O 0.659 0.589 0.896
O 0.695 0.598 0.373
O 0.700 0.098 0.122
O 0.737 0.002 0.710
O 0.741 0.497 0.780
O 0.742 0.757 0.043
O 0.757 0.742 0.543
O 0.759 0.241 0.548
O 0.759 0.241 0.952
O 0.759 0.505 0.290
O 0.764 0.002 0.202
O 0.796 0.903 0.632
O 0.804 0.404 0.861
O 0.845 0.411 0.406
O 0.845 0.899 0.368
O 0.850 0.401 0.125
O 0.860 0.564 0.010
O 0.864 0.068 0.490
O 0.898 0.945 0.082
O 0.899 0.845 0.868
O 0.902 0.300 0.378
O 0.903 0.796 0.132
O 0.925 0.075 0.750
O 0.926 0.629 0.492
O 0.932 0.136 0.010
O 0.933 0.581 0.757
O 0.939 0.399 0.616
O 0.945 0.898 0.582
O 0.947 0.392 0.916
O 0.998 0.236 0.298
O 0.998 0.263 0.790
```



3.
UP4O8 after structural relaxation, computed with PBE-GGA. Values from VASP.

## Properties
The calculated formation energy comes out at -2.287 eV per atom. The final energy is -7.44 eV per atom.

Cell and atoms, written as Quantum ESPRESSO input:
```
&SYSTEM
  ibrav = 0, nat = 104, ntyp = 3
/
ATOMIC_SPECIES
U 238.03 U.upf
P 30.97 P.upf
O 16.00 O.upf
CELL_PARAMETERS angstrom
7.840 0.000 0.000
0.000 13.647 0.000
0.000 0.000 19.896
ATOMIC_POSITIONS crystal
U 0.151 0.139 0.113
U 0.151 0.361 0.613
U 0.349 0.639 0.113
U 0.349 0.861 0.613
U 0.651 0.139 0.387
U 0.651 0.361 0.887
U 0.849 0.639 0.387
U 0.849 0.861 0.887
P 0.056 0.168 0.484
P 0.056 0.332 0.984
P 0.130 0.076 0.926
P 0.130 0.424 0.426
P 0.147 0.095 0.675
P 0.147 0.405 0.175
P 0.226 0.174 0.294
P 0.226 0.326 0.794
P 0.274 0.674 0.294
P 0.274 0.826 0.794
P 0.353 0.595 0.675
P 0.353 0.905 0.175
P 0.370 0.576 0.926
P 0.370 0.924 0.426
P 0.444 0.668 0.484
P 0.444 0.832 0.984
P 0.556 0.168 0.016
P 0.556 0.332 0.516
P 0.630 0.076 0.574
P 0.630 0.424 0.074
P 0.647 0.095 0.825
P 0.647 0.405 0.325
P 0.726 0.174 0.206
P 0.726 0.326 0.706
P 0.774 0.674 0.206
P 0.774 0.826 0.706
P 0.853 0.595 0.825
P 0.853 0.905 0.325
P 0.870 0.576 0.574
P 0.870 0.924 0.074
P 0.944 0.668 0.016
P 0.944 0.832 0.516
O 0.029 0.247 0.538
O 0.029 0.253 0.038
O 0.065 0.522 0.399
O 0.065 0.978 0.899
O 0.083 0.675 0.070
O 0.083 0.825 0.570
O 0.099 0.686 0.327
O 0.099 0.814 0.827
O 0.165 0.074 0.001
O 0.165 0.426 0.501
O 0.206 0.198 0.654
O 0.206 0.302 0.154
O 0.220 0.016 0.629
O 0.220 0.484 0.129
O 0.241 0.126 0.224
O 0.241 0.374 0.724
O 0.259 0.626 0.224
O 0.259 0.874 0.724
O 0.280 0.516 0.629
O 0.280 0.984 0.129
O 0.294 0.698 0.654
O 0.294 0.802 0.154
O 0.335 0.574 0.001
O 0.335 0.926 0.501
O 0.401 0.186 0.327
O 0.401 0.314 0.827
O 0.417 0.175 0.070
O 0.417 0.325 0.570
O 0.435 0.022 0.399
O 0.435 0.478 0.899
O 0.471 0.747 0.538
O 0.471 0.753 0.038
O 0.529 0.247 0.962
O 0.529 0.253 0.462
O 0.565 0.522 0.101
O 0.565 0.978 0.601
O 0.583 0.675 0.430
O 0.583 0.825 0.930
O 0.599 0.686 0.173
O 0.599 0.814 0.673
O 0.665 0.074 0.499
O 0.665 0.426 0.999
O 0.706 0.198 0.846
O 0.706 0.302 0.346
O 0.720 0.016 0.871
O 0.720 0.484 0.371
O 0.741 0.126 0.276
O 0.741 0.374 0.776
O 0.759 0.626 0.276
O 0.759 0.874 0.776
O 0.780 0.516 0.871
O 0.780 0.984 0.371
O 0.794 0.698 0.846
O 0.794 0.802 0.346
O 0.835 0.574 0.499
O 0.835 0.926 0.999
O 0.901 0.186 0.173
O 0.901 0.314 0.673
O 0.917 0.175 0.430
O 0.917 0.325 0.930
O 0.935 0.022 0.101
O 0.935 0.478 0.601
O 0.971 0.747 0.962
O 0.971 0.753 0.462
```



4.
UPO5 after structural relaxation, computed with PBE-GGA. Values from VASP.

## Properties
The calculation puts the energy above the lowest structure with this stoichiometry at 20 meV per atom. The calculated formation energy comes out at -3.200 eV per atom. The final energy is -8.63 eV per atom.

Cell and atoms, written as Quantum ESPRESSO input:
```
&SYSTEM
  ibrav = 0, nat = 28, ntyp = 3
/
ATOMIC_SPECIES
U 238.03 U.upf
P 30.97 P.upf
O 16.00 O.upf
CELL_PARAMETERS angstrom
3.505 -4.339 0.000
3.505 4.339 0.000
0.000 0.000 12.768
ATOMIC_POSITIONS crystal
U 0.168 0.832 0.925
U 0.332 0.668 0.425
U 0.668 0.332 0.575
U 0.832 0.168 0.075
P 0.090 0.910 0.637
P 0.410 0.590 0.137
P 0.590 0.410 0.863
P 0.910 0.090 0.363
O 0.019 0.333 0.422
O 0.058 0.942 0.086
O 0.088 0.912 0.372
O 0.143 0.857 0.751
O 0.167 0.481 0.078
O 0.333 0.019 0.578
O 0.357 0.643 0.251
O 0.412 0.588 0.872
O 0.442 0.558 0.586
O 0.481 0.167 0.922
O 0.519 0.833 0.078
O 0.558 0.442 0.414
O 0.588 0.412 0.128
O 0.643 0.357 0.749
O 0.667 0.981 0.422
O 0.833 0.519 0.922
O 0.857 0.143 0.249
O 0.912 0.088 0.628
O 0.942 0.058 0.914
O 0.981 0.667 0.578
```



5.
UP4O12 after structural relaxation, computed with PBE-GGA. Values from VASP.

## Properties
The calculation puts the energy above the lowest structure with this stoichiometry at 3 meV per atom. The calculated formation energy comes out at -2.834 eV per atom. The final energy is -7.78 eV per atom.

Cell and atoms, written as Quantum ESPRESSO input:
```
&SYSTEM
  ibrav = 0, nat = 68, ntyp = 3
/
ATOMIC_SPECIES
U 238.03 U.upf
P 30.97 P.upf
O 16.00 O.upf
CELL_PARAMETERS angstrom
-5.708 5.708 7.531
5.708 -5.708 7.531
5.708 5.708 -7.531
ATOMIC_POSITIONS crystal
U 0.000 0.500 0.500
U 0.215 0.215 0.000
U 0.500 0.000 0.500
U 0.785 0.785 0.000
P 0.054 0.437 0.834
P 0.066 0.148 0.397
P 0.148 0.751 0.083
P 0.220 0.054 0.616
P 0.249 0.852 0.917
P 0.331 0.249 0.397
P 0.397 0.563 0.616
P 0.437 0.603 0.384
P 0.563 0.946 0.166
P 0.603 0.220 0.166
P 0.669 0.066 0.917
P 0.751 0.669 0.603
P 0.780 0.397 0.834
P 0.852 0.934 0.603
P 0.934 0.331 0.083
P 0.946 0.780 0.384
O 0.000 0.011 0.762
O 0.000 0.762 0.011
O 0.010 0.422 0.267
O 0.011 0.249 0.011
O 0.062 0.473 0.722
O 0.113 0.131 0.548
O 0.117 0.883 0.500
O 0.119 0.329 0.858
O 0.131 0.583 0.018
O 0.156 0.744 0.733
O 0.224 0.224 0.448
O 0.224 0.776 0.000
O 0.238 0.000 0.989
O 0.249 0.238 0.238
O 0.249 0.527 0.589
O 0.256 0.844 0.267
O 0.261 0.119 0.790
O 0.329 0.471 0.210
O 0.340 0.062 0.589
O 0.383 0.617 0.500
O 0.417 0.869 0.982
O 0.422 0.156 0.412
O 0.435 0.417 0.548
O 0.471 0.261 0.142
O 0.473 0.751 0.411
O 0.527 0.938 0.278
O 0.529 0.671 0.790
O 0.565 0.113 0.982
O 0.578 0.990 0.733
O 0.583 0.565 0.452
O 0.617 0.117 0.233
O 0.660 0.249 0.722
O 0.671 0.881 0.142
O 0.739 0.529 0.858
O 0.744 0.010 0.588
O 0.751 0.340 0.278
O 0.751 0.989 0.989
O 0.762 0.751 0.762
O 0.776 0.224 0.000
O 0.776 0.776 0.552
O 0.844 0.578 0.588
O 0.869 0.887 0.452
O 0.881 0.739 0.210
O 0.883 0.383 0.767
O 0.887 0.435 0.018
O 0.938 0.660 0.411
O 0.989 0.000 0.238
O 0.990 0.256 0.412
```



6.
UP4O12 after structural relaxation, computed with PBE-GGA. Values from VASP.

## Properties
The calculation puts the energy above the lowest structure with this stoichiometry at 6 meV per atom. The calculated formation energy comes out at -2.831 eV per atom. The final energy is -7.78 eV per atom.

Cell and atoms, written as Quantum ESPRESSO input:
```
&SYSTEM
  ibrav = 0, nat = 34, ntyp = 3
/
ATOMIC_SPECIES
U 238.03 U.upf
P 30.97 P.upf
O 16.00 O.upf
CELL_PARAMETERS angstrom
5.961 -6.546 0.000
5.961 6.546 0.000
-5.928 0.000 6.008
ATOMIC_POSITIONS crystal
U 0.218 0.782 0.000
U 0.782 0.218 0.000
P 0.027 0.259 0.755
P 0.259 0.027 0.755
P 0.267 0.493 0.526
P 0.493 0.267 0.526
P 0.503 0.730 0.468
P 0.730 0.503 0.468
P 0.742 0.974 0.246
P 0.974 0.742 0.246
O 0.026 0.786 0.123
O 0.089 0.337 0.307
O 0.110 0.462 0.849
O 0.153 0.854 0.501
O 0.177 0.177 0.734
O 0.209 0.971 0.872
O 0.255 0.628 0.706
O 0.337 0.089 0.307
O 0.375 0.602 0.480
O 0.377 0.751 0.293
O 0.409 0.409 0.625
O 0.462 0.110 0.849
O 0.541 0.896 0.158
O 0.597 0.597 0.376
O 0.602 0.375 0.480
O 0.628 0.255 0.706
O 0.653 0.905 0.697
O 0.751 0.377 0.293
O 0.786 0.026 0.123
O 0.826 0.826 0.270
O 0.854 0.153 0.501
O 0.896 0.541 0.158
O 0.905 0.653 0.697
O 0.971 0.209 0.872
```